! La4Ni3WO12 GGA+U relaxed; values from VASP
! Space group = No. 123
! Calculated formation energy = -2.671 eV/atom
! Final energy = -142.5 eV/cell
! V = 250.3 Å³ per cell
&SYSTEM
  ibrav = 0, nat = 20, ntyp = 4
/
ATOMIC_SPECIES
O 16.00 O.upf
Ni 58.69 Ni.upf
W 183.84 W.upf
La 138.91 La.upf
ATOMIC_POSITIONS crystal
O 0.743 0.743 0.000
O 0.000 0.000 0.248
O 0.748 0.748 0.500
O 0.252 0.748 0.500
O 0.500 0.500 0.757
O 0.743 0.257 0.000
O 0.000 0.000 0.752
O 0.500 0.500 0.243
O 0.257 0.743 0.000
O 0.252 0.252 0.500
O 0.257 0.257 0.000
O 0.748 0.252 0.500
Ni 0.000 0.000 0.000
Ni 0.000 0.000 0.500
Ni 0.500 0.500 0.500
W 0.500 0.500 0.000
La 0.000 0.500 0.719
La 0.500 0.000 0.281
La 0.500 0.000 0.719
La 0.000 0.500 0.281
CELL_PARAMETERS angstrom
-0.234 3.252 4.510
-1.888 -4.292 2.997
7.596 -2.040 1.865